1.
{
  "formula": "Li6V2O5F2",
  "functional": "PBE with a Hubbard U",
  "state": "optimized geometry",
  "polymorph_energy_mev_per_atom": 16,
  "corrected_energy_ev_per_fu": -95.3,
  "magnetic_moment_mub_per_cell": 8.001,
  "e_form_mev_per_atom": -2476,
  "space_group": "No. 7",
  "cell": [[-2.538, -4.267, -3.297], [-0.258, -3.082, 4.187], [-8.776, 1.507, 4.807]],
  "species": ["Li", "Li", "Li", "Li", "Li", "Li", "Li", "Li", "Li", "Li", "Li", "Li", "V", "V", "V", "V", "O", "O", "O", "O", "O", "O", "O", "O", "O", "O", "F", "F", "F", "F"],
  "frac_coords": [[0.037, 0.200, 0.135], [0.487, 0.236, 0.148], [0.761, 0.825, 0.131], [0.977, 0.792, 0.368], [0.536, 0.769, 0.347], [0.236, 0.166, 0.371], [0.239, 0.825, 0.631], [0.963, 0.200, 0.635], [0.513, 0.236, 0.648], [0.764, 0.166, 0.871], [0.023, 0.792, 0.868], [0.464, 0.769, 0.847], [0.267, 0.734, 0.129], [0.752, 0.267, 0.371], [0.733, 0.734, 0.629], [0.248, 0.267, 0.871], [0.254, 0.500, 0.000], [0.028, 0.992, 0.004], [0.260, 0.948, 0.254], [0.761, 0.051, 0.247], [0.535, 0.523, 0.234], [0.972, 0.992, 0.504], [0.746, 0.500, 0.500], [0.465, 0.523, 0.734], [0.740, 0.948, 0.754], [0.239, 0.051, 0.747], [0.035, 0.479, 0.266], [0.491, 0.018, 0.496], [0.965, 0.479, 0.766], [0.509, 0.018, 0.996]]
}

=====

2.
{
  "formula": "LiV4OF11",
  "functional": "PBE with a Hubbard U",
  "state": "optimized geometry",
  "polymorph_energy_mev_per_atom": 8,
  "corrected_energy_ev_per_fu": -117.2,
  "magnetic_moment_mub_per_cell": 16.000,
  "e_form_mev_per_atom": -3114,
  "space_group": "No. 1",
  "cell": [[5.245, 0.000, 0.000], [2.606, 4.840, 0.000], [2.371, 0.669, 17.052]],
  "species": ["Li", "Li", "V", "V", "V", "V", "V", "V", "V", "V", "O", "O", "F", "F", "F", "F", "F", "F", "F", "F", "F", "F", "F", "F", "F", "F", "F", "F", "F", "F", "F", "F", "F", "F"],
  "frac_coords": [[0.279, 0.400, 0.062], [0.639, 0.769, 0.929], [0.235, 0.256, 0.247], [0.121, 0.130, 0.622], [0.016, 0.983, 0.999], [0.498, 0.503, 0.498], [0.372, 0.405, 0.876], [0.654, 0.603, 0.133], [0.747, 0.759, 0.748], [0.866, 0.878, 0.373], [0.034, 0.400, 0.155], [0.310, 0.689, 0.939], [0.036, 0.031, 0.284], [0.046, 0.436, 0.690], [0.281, 0.291, 0.534], [0.475, 0.093, 0.339], [0.232, 0.811, 0.090], [0.239, 0.216, 0.971], [0.264, 0.663, 0.409], [0.462, 0.461, 0.221], [0.197, 0.814, 0.564], [0.460, 0.057, 0.819], [0.685, 0.307, 0.060], [0.797, 0.184, 0.439], [0.554, 0.944, 0.180], [0.528, 0.547, 0.782], [0.727, 0.346, 0.591], [0.790, 0.764, 0.026], [0.779, 0.152, 0.910], [0.519, 0.919, 0.658], [0.703, 0.720, 0.466], [0.933, 0.566, 0.315], [0.951, 0.600, 0.846], [0.961, 0.966, 0.716]]
}

=====

3.
{
  "formula": "Li5V6O5F19",
  "functional": "PBE with a Hubbard U",
  "state": "optimized geometry",
  "polymorph_energy_mev_per_atom": 10,
  "corrected_energy_ev_per_fu": -228.4,
  "magnetic_moment_mub_per_cell": 12.000,
  "e_form_mev_per_atom": -2950,
  "space_group": "No. 1",
  "cell": [[-0.435, -7.415, 0.527], [0.807, 0.186, 7.631], [-15.932, -0.821, 3.673]],
  "species": ["Li", "Li", "Li", "Li", "Li", "Li", "Li", "Li", "Li", "Li", "V", "V", "V", "V", "V", "V", "V", "V", "V", "V", "V", "V", "O", "O", "O", "O", "O", "O", "O", "O", "O", "O", "F", "F", "F", "F", "F", "F", "F", "F", "F", "F", "F", "F", "F", "F", "F", "F", "F", "F", "F", "F", "F", "F", "F", "F", "F", "F", "F", "F", "F", "F", "F", "F", "F", "F", "F", "F", "F", "F"],
  "frac_coords": [[0.680, 0.745, 0.867], [0.677, 0.961, 0.154], [0.642, 0.737, 0.528], [0.880, 0.380, 0.450], [0.171, 0.870, 0.514], [0.723, 0.417, 0.174], [0.228, 0.907, 0.172], [0.358, 0.298, 0.457], [0.181, 0.247, 0.865], [0.179, 0.467, 0.154], [0.864, 0.836, 0.667], [0.971, 0.509, 0.995], [0.971, 0.000, 0.002], [0.837, 0.331, 0.673], [0.336, 0.834, 0.674], [0.673, 0.643, 0.328], [0.365, 0.337, 0.665], [0.692, 0.163, 0.335], [0.190, 0.665, 0.338], [0.473, 0.009, 0.995], [0.470, 0.501, 0.002], [0.173, 0.136, 0.329], [0.755, 0.559, 0.978], [0.742, 0.968, 0.027], [0.592, 0.376, 0.647], [0.708, 0.426, 0.309], [0.092, 0.874, 0.644], [0.210, 0.925, 0.307], [0.912, 0.135, 0.353], [0.411, 0.626, 0.353], [0.257, 0.058, 0.978], [0.245, 0.469, 0.026], [0.858, 0.757, 0.779], [0.582, 0.965, 0.889], [0.807, 0.889, 0.556], [0.881, 0.585, 0.642], [0.930, 0.702, 0.313], [0.632, 0.906, 0.357], [0.591, 0.785, 0.687], [0.938, 0.515, 0.117], [0.705, 0.585, 0.446], [0.487, 0.584, 0.889], [0.779, 0.360, 0.777], [0.653, 0.737, 0.219], [0.904, 0.309, 0.562], [0.275, 0.863, 0.780], [0.400, 0.806, 0.557], [0.541, 0.264, 0.974], [0.042, 0.764, 0.976], [0.950, 0.251, 0.025], [0.792, 0.079, 0.692], [0.449, 0.751, 0.026], [0.294, 0.583, 0.691], [0.527, 0.435, 0.113], [0.601, 0.204, 0.446], [0.719, 0.153, 0.218], [0.358, 0.257, 0.777], [0.026, 0.937, 0.112], [0.100, 0.704, 0.448], [0.226, 0.652, 0.219], [0.082, 0.465, 0.890], [0.310, 0.400, 0.555], [0.383, 0.083, 0.642], [0.422, 0.218, 0.320], [0.119, 0.410, 0.371], [0.090, 0.288, 0.690], [0.437, 0.015, 0.117], [0.198, 0.099, 0.448], [0.985, 0.082, 0.891], [0.155, 0.250, 0.223]]
}

=====

4.
{
  "formula": "LiVOF3",
  "functional": "PBE with a Hubbard U",
  "state": "optimized geometry",
  "polymorph_energy_mev_per_atom": 28,
  "corrected_energy_ev_per_fu": -39.4,
  "magnetic_moment_mub_per_cell": 4.000,
  "e_form_mev_per_atom": -2950,
  "cell": [[4.891, 1.627, 1.776], [-4.661, -0.582, 5.755], [3.921, -6.124, 0.806]],
  "species": ["Li", "Li", "Li", "Li", "V", "V", "V", "V", "O", "O", "O", "O", "F", "F", "F", "F", "F", "F", "F", "F", "F", "F", "F", "F"],
  "frac_coords": [[0.500, 0.250, 0.750], [0.500, 0.750, 0.250], [0.000, 0.500, 0.000], [0.000, 0.000, 0.500], [0.000, 0.500, 0.500], [0.500, 0.250, 0.250], [0.500, 0.750, 0.750], [0.000, 0.000, 0.000], [0.314, 0.163, 0.057], [0.314, 0.663, 0.557], [0.686, 0.837, 0.943], [0.686, 0.337, 0.443], [0.833, 0.214, 0.071], [0.833, 0.714, 0.571], [0.167, 0.786, 0.929], [0.167, 0.286, 0.429], [0.635, 0.504, 0.171], [0.635, 0.004, 0.671], [0.365, 0.496, 0.829], [0.365, 0.996, 0.329], [0.137, 0.572, 0.243], [0.137, 0.072, 0.743], [0.863, 0.428, 0.757], [0.863, 0.928, 0.257]]
}

=====

5.
{
  "formula": "Li3V2O4F2",
  "functional": "PBE with a Hubbard U",
  "state": "optimized geometry",
  "polymorph_energy_mev_per_atom": 7,
  "corrected_energy_ev_per_fu": -77.1,
  "magnetic_moment_mub_per_cell": 12.010,
  "e_form_mev_per_atom": -2693,
  "cell": [[-0.063, 5.282, 0.126], [-2.854, 0.392, 14.700], [5.892, -0.073, 0.039]],
  "species": ["Li", "Li", "Li", "Li", "Li", "Li", "Li", "Li", "Li", "Li", "Li", "Li", "V", "V", "V", "V", "V", "V", "V", "V", "O", "O", "O", "O", "O", "O", "O", "O", "O", "O", "O", "O", "O", "O", "O", "O", "F", "F", "F", "F", "F", "F", "F", "F"],
  "frac_coords": [[0.320, 0.309, 0.182], [0.820, 0.810, 0.182], [0.180, 0.190, 0.817], [0.680, 0.691, 0.818], [0.701, 0.177, 0.095], [0.201, 0.677, 0.095], [0.799, 0.323, 0.905], [0.299, 0.823, 0.905], [0.858, 0.315, 0.411], [0.358, 0.815, 0.411], [0.642, 0.185, 0.589], [0.142, 0.685, 0.589], [0.500, 0.500, 0.000], [0.000, 0.000, 0.000], [0.000, 0.000, 0.500], [0.500, 0.500, 0.500], [0.492, 0.006, 0.251], [0.991, 0.506, 0.251], [0.009, 0.494, 0.749], [0.509, 0.994, 0.749], [0.342, 0.070, 0.035], [0.842, 0.570, 0.034], [0.158, 0.430, 0.965], [0.658, 0.930, 0.966], [0.682, 0.430, 0.218], [0.183, 0.930, 0.219], [0.818, 0.070, 0.782], [0.317, 0.570, 0.781], [0.814, 0.070, 0.280], [0.314, 0.570, 0.279], [0.686, 0.430, 0.721], [0.187, 0.930, 0.721], [0.159, 0.429, 0.451], [0.659, 0.929, 0.451], [0.342, 0.071, 0.549], [0.841, 0.571, 0.549], [0.000, 0.255, 0.109], [0.500, 0.755, 0.109], [0.500, 0.245, 0.891], [0.000, 0.745, 0.891], [0.548, 0.251, 0.357], [0.048, 0.751, 0.357], [0.952, 0.249, 0.643], [0.452, 0.749, 0.643]]
}

=====

6.
{
  "formula": "LiV2OF7",
  "functional": "PBE with a Hubbard U",
  "state": "optimized geometry",
  "polymorph_energy_mev_per_atom": 31,
  "corrected_energy_ev_per_fu": -70.7,
  "magnetic_moment_mub_per_cell": 4.000,
  "e_form_mev_per_atom": -2929,
  "space_group": "No. 7",
  "cell": [[0.000, 5.661, -0.001], [2.686, -0.001, 10.646], [5.727, 0.000, 0.360]],
  "species": ["Li", "Li", "V", "V", "V", "V", "O", "O", "F", "F", "F", "F", "F", "F", "F", "F", "F", "F", "F", "F", "F", "F"],
  "frac_coords": [[0.872, 0.506, 0.937], [0.628, 0.006, 0.438], [0.251, 0.685, 0.455], [0.249, 0.185, 0.955], [0.764, 0.811, 0.068], [0.736, 0.311, 0.568], [0.971, 0.745, 0.305], [0.528, 0.245, 0.805], [0.107, 0.303, 0.067], [0.393, 0.803, 0.567], [0.350, 0.095, 0.262], [0.150, 0.595, 0.762], [0.709, 0.407, 0.250], [0.791, 0.907, 0.750], [0.436, 0.779, 0.146], [0.064, 0.279, 0.646], [0.740, 0.163, 0.469], [0.760, 0.663, 0.969], [0.319, 0.545, 0.378], [0.181, 0.045, 0.878], [0.741, 0.961, 0.163], [0.759, 0.461, 0.663]]
}

=====

7.
{
  "formula": "Li3VO3F2",
  "functional": "PBE with a Hubbard U",
  "state": "optimized geometry",
  "polymorph_energy_mev_per_atom": 37,
  "corrected_energy_ev_per_fu": -57.3,
  "magnetic_moment_mub_per_cell": 0.000,
  "e_form_mev_per_atom": -2643,
  "space_group": "No. 1",
  "cell": [[-1.940, -2.933, -1.695], [2.512, -4.523, 0.451], [-0.769, -2.552, 5.424]],
  "species": ["Li", "Li", "Li", "V", "O", "O", "O", "F", "F"],
  "frac_coords": [[0.254, 0.492, 0.676], [0.677, 0.641, 0.897], [0.739, 0.520, 0.354], [0.037, 0.015, 0.978], [0.111, 0.761, 0.849], [0.495, 0.984, 0.021], [0.817, 0.367, 0.721], [0.162, 0.661, 0.331], [0.854, 0.267, 0.180]]
}

=====

8.
{
  "formula": "Li2VO2F",
  "functional": "PBE with a Hubbard U",
  "state": "optimized geometry",
  "polymorph_energy_mev_per_atom": 89,
  "corrected_energy_ev_per_fu": -40.5,
  "magnetic_moment_mub_per_cell": 8.000,
  "e_form_mev_per_atom": -2624,
  "space_group": "No. 8",
  "cell": [[-7.100, -3.197, 1.580], [-2.569, -6.947, 2.874], [0.200, 1.911, 4.840]],
  "species": ["Li", "Li", "Li", "Li", "Li", "Li", "Li", "Li", "V", "V", "V", "V", "O", "O", "O", "O", "O", "O", "O", "O", "F", "F", "F", "F"],
  "frac_coords": [[0.809, 0.326, 0.149], [0.570, 0.570, 0.701], [0.922, 0.922, 0.336], [0.326, 0.809, 0.149], [0.656, 0.201, 0.844], [0.077, 0.077, 0.662], [0.431, 0.431, 0.315], [0.201, 0.656, 0.844], [0.009, 0.498, 0.505], [0.752, 0.752, 0.986], [0.498, 0.009, 0.505], [0.251, 0.251, 0.004], [0.926, 0.428, 0.829], [0.825, 0.825, 0.652], [0.501, 0.501, 0.006], [0.580, 0.064, 0.169], [0.428, 0.926, 0.829], [0.327, 0.327, 0.676], [0.177, 0.177, 0.342], [0.064, 0.580, 0.169], [0.999, 0.999, 0.999], [0.758, 0.244, 0.500], [0.669, 0.669, 0.332], [0.244, 0.758, 0.500]]
}

=====

9.
{
  "formula": "Li5V6O5F19",
  "functional": "PBE with a Hubbard U",
  "state": "optimized geometry",
  "polymorph_energy_mev_per_atom": 17,
  "corrected_energy_ev_per_fu": -228.2,
  "magnetic_moment_mub_per_cell": 5.999,
  "e_form_mev_per_atom": -2943,
  "space_group": "No. 1",
  "cell": [[-5.161, 0.000, 0.000], [0.083, 5.397, 0.000], [-0.012, -2.688, -16.283]],
  "species": ["Li", "Li", "Li", "Li", "Li", "V", "V", "V", "V", "V", "V", "O", "O", "O", "O", "O", "F", "F", "F", "F", "F", "F", "F", "F", "F", "F", "F", "F", "F", "F", "F", "F", "F", "F", "F"],
  "frac_coords": [[0.453, 0.170, 0.554], [0.561, 0.180, 0.126], [0.821, 0.699, 0.843], [0.043, 0.660, 0.546], [0.968, 0.662, 0.118], [0.974, 0.301, 0.669], [0.494, 0.165, 0.337], [0.028, 0.037, 0.997], [0.527, 0.517, 0.988], [0.519, 0.798, 0.668], [0.015, 0.691, 0.336], [0.792, 0.032, 0.640], [0.693, 0.528, 0.639], [0.791, 0.697, 0.973], [0.206, 0.304, 0.027], [0.213, 0.955, 0.354], [0.703, 0.188, 0.967], [0.301, 0.140, 0.688], [0.586, 0.211, 0.445], [0.879, 0.011, 0.106], [0.415, 0.132, 0.227], [0.380, 0.467, 0.887], [0.116, 0.318, 0.559], [0.899, 0.388, 0.780], [0.790, 0.374, 0.314], [0.289, 0.462, 0.360], [0.184, 0.641, 0.689], [0.629, 0.506, 0.104], [0.091, 0.936, 0.886], [0.903, 0.706, 0.446], [0.082, 0.615, 0.222], [0.596, 0.865, 0.780], [0.377, 0.819, 0.559], [0.705, 0.870, 0.311], [0.297, 0.808, 0.031]]
}

=====

10.
{
  "formula": "Li2V3O4F4",
  "functional": "PBE with a Hubbard U",
  "state": "optimized geometry",
  "polymorph_energy_mev_per_atom": 9,
  "corrected_energy_ev_per_fu": -95.1,
  "magnetic_moment_mub_per_cell": 10.000,
  "e_form_mev_per_atom": -2812,
  "space_group": "No. 1",
  "cell": [[5.060, -0.047, -0.021], [-0.101, 9.748, 3.066], [-0.024, 0.019, 6.071]],
  "species": ["Li", "Li", "Li", "Li", "V", "V", "V", "V", "V", "V", "O", "O", "O", "O", "O", "O", "O", "O", "F", "F", "F", "F", "F", "F", "F", "F"],
  "frac_coords": [[0.058, 0.543, 0.101], [0.064, 0.543, 0.603], [0.976, 0.142, 0.054], [0.976, 0.142, 0.552], [0.028, 0.860, 0.447], [0.530, 0.640, 0.797], [0.526, 0.646, 0.302], [0.029, 0.851, 0.950], [0.463, 0.368, 0.191], [0.463, 0.368, 0.691], [0.282, 0.473, 0.888], [0.287, 0.475, 0.388], [0.297, 0.724, 0.007], [0.314, 0.718, 0.534], [0.686, 0.541, 0.092], [0.697, 0.538, 0.614], [0.827, 0.772, 0.750], [0.842, 0.770, 0.234], [0.175, 0.234, 0.258], [0.174, 0.233, 0.756], [0.218, 0.956, 0.653], [0.225, 0.951, 0.145], [0.663, 0.276, 0.987], [0.667, 0.278, 0.485], [0.827, 0.026, 0.359], [0.832, 0.014, 0.869]]
}

=====

11.
{
  "formula": "LiV4OF11",
  "functional": "PBE with a Hubbard U",
  "state": "optimized geometry",
  "polymorph_energy_mev_per_atom": 11,
  "corrected_energy_ev_per_fu": -117.1,
  "magnetic_moment_mub_per_cell": 16.000,
  "e_form_mev_per_atom": -3111,
  "space_group": "No. 1",
  "cell": [[5.205, 0.000, 0.000], [2.591, 4.860, 0.000], [2.570, 0.881, 17.053]],
  "species": ["Li", "Li", "V", "V", "V", "V", "V", "V", "V", "V", "O", "O", "F", "F", "F", "F", "F", "F", "F", "F", "F", "F", "F", "F", "F", "F", "F", "F", "F", "F", "F", "F", "F", "F"],
  "frac_coords": [[0.454, 0.411, 0.686], [0.590, 0.498, 0.314], [0.378, 0.372, 0.879], [0.225, 0.260, 0.244], [0.870, 0.871, 0.375], [0.009, 0.997, 0.003], [0.750, 0.753, 0.751], [0.142, 0.137, 0.619], [0.485, 0.491, 0.505], [0.640, 0.615, 0.130], [0.842, 0.471, 0.219], [0.341, 0.345, 0.594], [0.167, 0.158, 0.908], [0.561, 0.197, 0.433], [0.083, 0.692, 0.934], [0.676, 0.070, 0.809], [0.651, 0.647, 0.403], [0.612, 0.208, 0.966], [0.350, 0.971, 0.717], [0.072, 0.097, 0.343], [0.902, 0.272, 0.533], [0.601, 0.584, 0.841], [0.801, 0.448, 0.688], [0.193, 0.562, 0.313], [0.417, 0.396, 0.156], [0.088, 0.718, 0.466], [0.908, 0.920, 0.663], [0.637, 0.042, 0.287], [0.400, 0.786, 0.035], [0.168, 0.523, 0.778], [0.318, 0.924, 0.190], [0.932, 0.319, 0.058], [0.444, 0.801, 0.563], [0.845, 0.846, 0.092]]
}